(1)
Crystalline Nd2Zr8O19 at its relaxed geometry, computed with GGA-PBE.

abc: 3.585 3.718 26.337
angles: 90.00 90.00 90.00
Space group Pmm2 (No. 25)
Asymmetric unit:
Nd  0.000  0.000  0.000 (multiplicity 1)
Nd  0.500  0.500  0.121 (multiplicity 1)
Zr  0.000  0.000  0.221 (multiplicity 1)
Zr  0.000  0.000  0.415 (multiplicity 1)
Zr  0.000  0.000  0.609 (multiplicity 1)
Zr  0.000  0.000  0.804 (multiplicity 1)
Zr  0.500  0.500  0.318 (multiplicity 1)
Zr  0.500  0.500  0.512 (multiplicity 1)
Zr  0.500  0.500  0.706 (multiplicity 1)
Zr  0.500  0.500  0.901 (multiplicity 1)
O  0.000  0.500  0.051 (multiplicity 1)
O  0.000  0.500  0.176 (multiplicity 1)
O  0.000  0.500  0.269 (multiplicity 1)
O  0.000  0.500  0.367 (multiplicity 1)
O  0.000  0.500  0.461 (multiplicity 1)
O  0.000  0.500  0.558 (multiplicity 1)
O  0.000  0.500  0.653 (multiplicity 1)
O  0.000  0.500  0.751 (multiplicity 1)
O  0.000  0.500  0.846 (multiplicity 1)
O  0.000  0.500  0.945 (multiplicity 1)
O  0.500  0.000  0.162 (multiplicity 1)
O  0.500  0.000  0.263 (multiplicity 1)
O  0.500  0.000  0.361 (multiplicity 1)
O  0.500  0.000  0.461 (multiplicity 1)
O  0.500  0.000  0.557 (multiplicity 1)
O  0.500  0.000  0.657 (multiplicity 1)
O  0.500  0.000  0.754 (multiplicity 1)
O  0.500  0.000  0.854 (multiplicity 1)
O  0.500  0.000  0.949 (multiplicity 1)

- spin magnetization (μB/atom) = 0.000
- formation energy (eV per atom) = -3.681

***

(2)
Crystalline BaTb2DyO6 at its relaxed geometry, computed with GGA-PBE.

abc: 5.958 8.633 6.173
angles: 90.00 91.15 90.00
Space group P2_1/m (No. 11)
Asymmetric unit:
Ba  0.009  0.250  0.448 (multiplicity 2)
Tb  0.000  0.000  0.000 (multiplicity 2)
Tb  0.500  0.000  0.500 (multiplicity 2)
Dy  0.465  0.250  0.944 (multiplicity 2)
O  0.162  0.750  0.977 (multiplicity 2)
O  0.211  0.064  0.716 (multiplicity 4)
O  0.314  0.080  0.187 (multiplicity 4)
O  0.406  0.750  0.408 (multiplicity 2)

- spin magnetization (μB/atom) = 0.100
- distance to the lowest polymorph of the same formula (meV/atom) = 0.0
- formation energy (eV per atom) = -3.466

***

(3)
Crystalline TmIn2Pd at its relaxed geometry, computed with GGA-PBE.

abc: 13.802 13.802 9.184
angles: 90.00 90.00 90.00
Space group I4mm (No. 107)
Asymmetric unit:
Tm  0.000  0.000  0.000 (multiplicity 2)
Tm  0.000  0.000  0.473 (multiplicity 2)
Tm  0.000  0.280  0.071 (multiplicity 8)
Tm  0.202  0.202  0.584 (multiplicity 8)
In  0.000  0.163  0.743 (multiplicity 8)
In  0.000  0.383  0.595 (multiplicity 8)
In  0.130  0.130  0.236 (multiplicity 8)
In  0.142  0.350  0.334 (multiplicity 16)
Pd  0.000  0.212  0.436 (multiplicity 8)
Pd  0.000  0.500  0.346 (multiplicity 4)
Pd  0.161  0.161  0.929 (multiplicity 8)

- formation energy (eV per atom) = -0.635

***

(4)
Crystalline LaAs2Ru2 at its relaxed geometry, computed with GGA-PBE.

abc: 4.229 4.229 10.644
angles: 90.00 90.00 90.00
Space group I4/mmm (No. 139)
Asymmetric unit:
La  0.000  0.000  0.000 (multiplicity 2)
As  0.000  0.000  0.366 (multiplicity 4)
Ru  0.000  0.500  0.250 (multiplicity 4)

- formation energy (eV per atom) = -0.781

***

(5)
Crystalline Ca2ZnAs2H4O10 at its relaxed geometry, computed with GGA-PBE.

abc: 5.678 5.955 7.130
angles: 108.61 97.23 109.64
Space group P-1 (No. 2)
Asymmetric unit:
Ca  0.148  0.294  0.263 (multiplicity 2)
Zn  0.500  0.000  0.500 (multiplicity 1)
As  0.175  0.338  0.748 (multiplicity 2)
H  0.343  0.874  0.104 (multiplicity 2)
H  0.425  0.842  0.805 (multiplicity 2)
O  0.096  0.754  0.450 (multiplicity 2)
O  0.141  0.158  0.893 (multiplicity 2)
O  0.221  0.654  0.886 (multiplicity 2)
O  0.421  0.045  0.228 (multiplicity 2)
O  0.428  0.348  0.632 (multiplicity 2)

- spin magnetization (μB/atom) = 0.000
- formation energy (eV per atom) = -2.054

***

(6)
Crystalline Zn2CrN3 at its relaxed geometry, computed with GGA-PBE.

abc: 9.581 5.575 5.249
angles: 90.00 90.00 90.00
Space group Cmc2_1 (No. 36)
Asymmetric unit:
Zn  0.165  0.167  0.000 (multiplicity 8)
Cr  0.000  0.337  0.513 (multiplicity 4)
N  0.000  0.361  0.160 (multiplicity 4)
N  0.152  0.182  0.610 (multiplicity 8)

- formation energy (eV per atom) = -0.332

***

Energy, record by record: -9.16, -7.60, -4.43, -7.34, -5.78, -6.35 eV per atom
Calculated volume, record by record: 351.07, 317.43, 1749.43, 190.40, 207.73, 280.40 Å³/cell